The following is a DFT calculation (PBE+U) of Sr3Ca5Mn7FeO24 after structural relaxation.

POSCAR file:
```
Sr3Ca5Mn7FeO24
1.0
5.443 -5.444 0.000
5.443 5.444 0.000
0.000 0.000 7.698
Sr Ca Mn Fe O
3 5 7 1 24
Cartesian
0.000 0.000 0.000
2.722 2.723 7.697
2.722 -2.723 7.697
0.000 0.000 3.850
2.723 2.722 3.850
2.723 -2.722 3.850
5.445 0.000 0.000
5.445 0.000 3.850
2.727 0.000 1.933
2.726 0.000 5.766
5.444 2.718 1.933
5.444 2.718 5.766
5.444 -2.718 1.933
5.444 -2.718 5.766
8.162 0.000 1.933
8.162 0.000 5.765
1.364 1.360 1.952
1.366 1.358 5.746
4.087 4.078 1.952
4.100 4.064 5.746
1.364 -1.360 1.952
1.366 -1.358 5.746
2.723 0.000 3.847
5.444 2.721 3.844
2.742 0.000 0.003
4.089 1.348 5.759
4.091 1.350 1.939
5.444 2.703 0.006
6.778 1.369 5.758
4.089 -1.348 5.759
6.792 1.356 1.940
4.091 -1.350 1.939
5.444 -2.703 0.006
6.778 -1.369 5.758
6.792 -1.356 1.940
8.148 0.000 0.027
4.087 -4.078 1.952
4.100 -4.064 5.746
5.444 -2.721 3.844
8.164 0.000 3.823
```

Summary:
raw total energy: -6.80 eV per atom
calculated formation energy: -2.40 eV/atom
space-group type: Cm